# PBE Sr6La4Mg2Ru3O20, relaxed
data_Sr6La4Mg2Ru3O20
_cell_length_a 3.958
_cell_length_b 6.033
_cell_length_c 23.748
_cell_angle_alpha 86.04
_cell_angle_beta 85.59
_cell_angle_gamma 75.24
_space_group_name_H-M_alt 'P 1'
_space_group_IT_number 1
loop_
_space_group_symop_operation_xyz
'x,y,z'
loop_
_atom_site_label
_atom_site_fract_x
_atom_site_fract_y
_atom_site_fract_z
Ru1 0.346 0.242 0.197
Ru2 0.654 0.758 0.803
Ru3 0.500 0.000 0.000
O1 0.397 0.118 0.280
O2 0.000 0.000 0.000
O3 0.000 0.500 0.500
O4 0.306 0.358 0.117
O5 0.154 0.760 0.801
O6 0.584 0.482 0.408
O7 0.487 0.083 0.825
O8 0.513 0.917 0.175
O9 0.174 0.561 0.218
O10 0.607 0.723 0.047
O11 0.393 0.277 0.953
O12 0.603 0.882 0.720
O13 0.416 0.518 0.592
O14 0.044 0.061 0.559
O15 0.694 0.642 0.883
O16 0.033 0.744 0.324
O17 0.846 0.240 0.199
O18 0.967 0.256 0.676
O19 0.956 0.939 0.441
O20 0.826 0.439 0.782
Sr1 0.901 0.223 0.875
Sr2 0.099 0.777 0.125
Sr3 0.866 0.148 0.333
Sr4 0.166 0.670 0.936
Sr5 0.834 0.330 0.064
Sr6 0.134 0.852 0.667
La1 0.581 0.713 0.262
La2 0.365 0.755 0.514
La3 0.635 0.245 0.486
La4 0.419 0.287 0.738
Mg1 0.963 0.366 0.598
Mg2 0.037 0.634 0.402
# E_form	-2.722	eV per atom
# space-group type	P-1, No. 2